# 1
This record from the Materials Project database describes a geometry-optimized MgCd2Cu4O6 structure. The functional is PBE-GGA.

## Properties
Energy above the lowest structure with this stoichiometry (eV per formula unit): 0.00
Electronic total energy (eV for the cell shown): -59.92

POSCAR file:
```
MgCd2Cu4O6
1.0
3.572 0.000 0.000
-0.382 4.405 0.000
-1.331 -0.160 10.428
Mg Cd Cu O
1 2 4 6
Direct
0.000 0.000 0.000 Mg
0.161 0.865 0.690 Cd
0.831 0.248 0.257 Cd
0.356 0.813 0.364 Cu
0.367 0.551 0.101 Cu
0.626 0.338 0.546 Cu
0.676 0.366 0.839 Cu
0.109 0.823 0.183 O
0.384 0.339 0.375 O
0.529 0.244 0.010 O
0.584 0.841 0.537 O
0.712 0.824 0.843 O
0.962 0.354 0.699 O
```

***

# 2
This record from the Materials Project database describes a geometry-optimized ErSi2Rh2 structure. The functional is PBE-GGA.

## Properties
Electronic total energy (eV for the cell shown): -35.72

POSCAR file:
```
ErSi2Rh2
1.0
-2.028 2.028 4.974
2.028 -2.028 4.974
2.028 2.028 -4.974
Er Si Rh
1 2 2
Direct
0.000 0.000 0.000 Er
0.379 0.379 0.000 Si
0.621 0.621 0.000 Si
0.250 0.750 0.500 Rh
0.750 0.250 0.500 Rh
```

***

# 3
This record from the Materials Project database describes a geometry-optimized SrLi2Ta2O7 structure. The functional is PBE-GGA.

## Properties
Electronic total energy (eV for the cell shown): -195.18

POSCAR file:
```
SrLi2Ta2O7
1.0
9.205 -2.819 0.000
9.205 2.819 0.000
0.000 0.000 5.631
Sr Li Ta O
2 4 4 14
Direct
0.245 0.755 0.750 Sr
0.755 0.245 0.250 Sr
0.242 0.242 0.000 Li
0.242 0.242 0.500 Li
0.758 0.758 0.000 Li
0.758 0.758 0.500 Li
0.138 0.633 0.250 Ta
0.367 0.862 0.250 Ta
0.633 0.138 0.750 Ta
0.862 0.367 0.750 Ta
0.056 0.510 0.250 O
0.112 0.112 0.000 O
0.112 0.112 0.500 O
0.215 0.785 0.250 O
0.403 0.403 0.000 O
0.403 0.403 0.500 O
0.490 0.944 0.250 O
0.510 0.056 0.750 O
0.597 0.597 0.000 O
0.597 0.597 0.500 O
0.785 0.215 0.750 O
0.888 0.888 0.000 O
0.888 0.888 0.500 O
0.944 0.490 0.750 O
```

***

# 4
This record from the Materials Project database describes a geometry-optimized Al3Tl structure. The functional is PBE-GGA.

## Properties
Electronic total energy (eV for the cell shown): -12.46

POSCAR file:
```
Al3Tl
1.0
4.354 0.000 0.000
0.000 4.354 0.000
0.000 0.000 4.354
Al Tl
3 1
Direct
0.000 0.000 0.500 Al
0.000 0.500 0.000 Al
0.500 0.000 0.000 Al
0.500 0.500 0.500 Tl
```

***

The evaluated ΔE_f for the records listed, in turn: -14.51 -5.57 -38.54 1.14 eV per formula unit.